Record 1
# SrV2P2O10 PBE with a Hubbard U relaxed
data_SrV2P2O10
_space_group_name_H-M_alt 'P 1'
_space_group_IT_number 1
_cell_length_a 10.093
_cell_length_b 8.906
_cell_length_c 7.042
_cell_angle_alpha 77.55
_cell_angle_beta 59.50
_cell_angle_gamma 42.95
loop_
_space_group_symop_operation_xyz
'x,y,z'
loop_
_atom_site_label
_atom_site_type_symbol
_atom_site_fract_x
_atom_site_fract_y
_atom_site_fract_z
O1 O 0.292 0.906 0.236
O2 O 0.693 0.995 0.331
O3 O 0.328 0.972 0.689
O4 O 0.403 0.624 0.892
O5 O 0.572 0.231 0.909
O6 O 0.927 0.267 0.543
V1 V 0.159 0.604 0.606
V2 V 0.631 0.609 0.591
P1 P 0.056 0.028 0.444
V3 V 0.637 0.626 0.083
O7 O 0.090 0.883 0.617
O8 O 0.182 0.346 0.613
O9 O 0.903 0.059 0.397
O10 O 0.010 0.689 0.973
O11 O 0.258 0.545 0.276
O12 O 0.836 0.834 0.657
Sr1 Sr 0.245 0.252 0.252
V4 V 0.649 0.085 0.622
O13 O 0.635 0.397 0.075
P2 P 0.794 0.781 0.206
O14 O 0.623 0.842 0.172
P3 P 0.222 0.195 0.786
O15 O 0.678 0.648 0.822
O16 O 0.981 0.321 0.991
O17 O 0.854 0.607 0.348
Sr2 Sr 0.996 0.000 0.002
O18 O 0.365 0.170 0.846
P4 P 0.468 0.454 0.025
O19 O 0.595 0.578 0.411
O20 O 0.420 0.408 0.570
# **E above lowest polymorph**: 30.2 meV per atom
# **Crystal system**: triclinic
# **Formation enthalpy at 0 K**: -2.79 eV/atom
# **Space-group type**: P1 (1)
# **Volume**: 358.2 Å³ per cell

***

Record 2
# SrVP2O8 PBE with a Hubbard U relaxed
data_SrVP2O8
_space_group_name_H-M_alt 'P 1'
_space_group_IT_number 1
_cell_length_a 8.501
_cell_length_b 9.601
_cell_length_c 9.568
_cell_angle_alpha 64.59
_cell_angle_beta 98.63
_cell_angle_gamma 87.29
loop_
_space_group_symop_operation_xyz
'x,y,z'
loop_
_atom_site_label
_atom_site_type_symbol
_atom_site_fract_x
_atom_site_fract_y
_atom_site_fract_z
Sr1 Sr 0.514 0.765 0.285
V1 V 0.515 0.219 0.324
O1 O 0.410 0.408 0.165
O2 O 0.662 0.716 0.583
O3 O 0.338 0.284 0.417
O4 O 0.090 0.091 0.335
O5 O 0.556 0.163 0.992
O6 O 0.202 0.916 0.215
O7 O 0.346 0.704 0.562
O8 O 0.056 0.663 0.492
O9 O 0.173 0.625 0.768
O10 O 0.846 0.204 0.062
O11 O 0.237 0.071 0.819
O12 O 0.654 0.296 0.438
O13 O 0.944 0.337 0.508
P1 P 0.785 0.939 0.763
P2 P 0.297 0.899 0.880
V2 V 0.485 0.781 0.676
O14 O 0.702 0.416 0.715
O15 O 0.111 0.448 0.174
O16 O 0.162 0.216 0.083
O17 O 0.889 0.552 0.826
P3 P 0.797 0.399 0.380
O18 O 0.827 0.375 0.232
O19 O 0.910 0.909 0.665
V3 V 0.985 0.281 0.176
Sr2 Sr 0.014 0.265 0.786
O20 O 0.590 0.592 0.835
O21 O 0.444 0.837 0.008
O22 O 0.263 0.429 0.681
Sr3 Sr 0.986 0.735 0.214
P4 P 0.285 0.439 0.263
O23 O 0.611 0.948 0.674
P5 P 0.215 0.061 0.237
V4 V 0.015 0.719 0.824
O24 O 0.737 0.571 0.319
O25 O 0.763 0.929 0.181
O26 O 0.838 0.784 0.917
O27 O 0.154 0.796 0.938
O28 O 0.798 0.084 0.785
O29 O 0.673 0.125 0.268
O30 O 0.389 0.052 0.326
P6 P 0.203 0.601 0.620
P7 P 0.715 0.561 0.737
P8 P 0.703 0.101 0.120
O31 O 0.298 0.584 0.285
O32 O 0.327 0.875 0.732
Sr4 Sr 0.486 0.235 0.715
# **Formation enthalpy at 0 K**: -2.82 eV/atom
# **Volume**: 692.0 Å³ per cell

***

Record 3
# SrV2P2O10 PBE with a Hubbard U relaxed
data_SrV2P2O10
_space_group_name_H-M_alt 'P 1'
_space_group_IT_number 1
_cell_length_a 10.093
_cell_length_b 8.906
_cell_length_c 7.042
_cell_angle_alpha 77.55
_cell_angle_beta 59.50
_cell_angle_gamma 42.95
loop_
_space_group_symop_operation_xyz
'x,y,z'
loop_
_atom_site_label
_atom_site_type_symbol
_atom_site_fract_x
_atom_site_fract_y
_atom_site_fract_z
O1 O 0.067 0.899 0.639
O2 O 0.844 0.625 0.366
O3 O 0.654 0.675 0.844
O4 O 0.551 0.255 0.922
O5 O 0.686 0.011 0.337
O6 O 0.328 0.978 0.699
O7 O 0.611 0.855 0.183
O8 O 0.625 0.406 0.086
P1 P 0.452 0.467 0.049
O9 O 0.351 0.183 0.855
O10 O 0.406 0.423 0.596
V1 V 0.612 0.628 0.161
P2 P 0.783 0.798 0.217
V2 V 0.599 0.161 0.628
V3 V 0.089 0.651 0.638
O11 O 0.272 0.922 0.255
O12 O 0.575 0.596 0.423
O13 O 0.239 0.564 0.284
O14 O 0.995 0.699 0.978
O15 O 0.884 0.086 0.406
V4 V 0.622 0.638 0.651
O16 O 0.395 0.639 0.899
O17 O 0.827 0.844 0.675
P3 P 0.033 0.049 0.467
Sr1 Sr 0.247 0.253 0.253
P4 P 0.201 0.217 0.798
O18 O 0.966 0.337 0.011
Sr2 Sr 0.997 0.003 0.003
O19 O 0.164 0.366 0.625
O20 O 0.913 0.284 0.564
# **E above lowest polymorph**: 0.0 meV per atom
# **Crystal system**: orthorhombic
# **Formation enthalpy at 0 K**: -2.82 eV/atom
# **Space-group type**: Fdd2 (43)
# **Volume**: 358.2 Å³ per cell